Entry 1:
Computed, not measured: a relaxed structure of Mg2Pd at the r2SCAN level of DFT.

Cell and atoms, written as CIF:
```
data_Mg2Pd
_cell_length_a 3.240
_cell_length_b 3.240
_cell_length_c 10.080
_cell_angle_alpha 90.00
_cell_angle_beta 90.00
_cell_angle_gamma 90.00
_space_group_name_H-M_alt 'I 4/m m m'
_space_group_IT_number 139
_space_group_name_Hall '-I 4 2'
loop_
_atom_site_label
_atom_site_type_symbol
_atom_site_fract_x
_atom_site_fract_y
_atom_site_fract_z
Mg1 Mg 0.000 0.000 0.147
Pd1 Pd 0.000 0.000 0.500
```

Values from the calculation:
Calculated total energy ... -10.94 eV per atom
ΔH_f (0 K) ... -0.51 eV per atom


Entry 2:
Computed, not measured: a relaxed structure of Mg3Pd5 at the r2SCAN level of DFT.

Cell and atoms, written as CIF:
```
data_Mg3Pd5
_cell_length_a 5.469
_cell_length_b 10.665
_cell_length_c 4.214
_cell_angle_alpha 90.00
_cell_angle_beta 90.00
_cell_angle_gamma 90.00
_space_group_name_H-M_alt 'P b a m'
_space_group_IT_number 55
loop_
_space_group_symop_operation_xyz
'x,y,z'
'-x,-y,-z'
'-x,-y,z'
'x,y,-z'
'x+1/2,-y+1/2,-z'
'-x+1/2,y+1/2,z'
'-x+1/2,y+1/2,-z'
'x+1/2,-y+1/2,z'
loop_
_atom_site_label
_atom_site_type_symbol
_atom_site_fract_x
_atom_site_fract_y
_atom_site_fract_z
Mg1 Mg 0.000 0.000 0.000
Mg2 Mg 0.167 0.363 0.500
Pd1 Pd 0.000 0.500 0.000
Pd2 Pd 0.100 0.756 0.000
Pd3 Pd 0.180 0.112 0.500
```

Values from the calculation:
Calculated total energy ... -16.54 eV per atom
ΔH_f (0 K) ... -0.62 eV per atom


Entry 3:
Computed, not measured: a relaxed structure of MgPd at the r2SCAN level of DFT.

Cell and atoms, written as CIF:
```
data_MgPd
_cell_length_a 3.155
_cell_length_b 3.155
_cell_length_c 3.155
_cell_angle_alpha 90.00
_cell_angle_beta 90.00
_cell_angle_gamma 90.00
_space_group_name_H-M_alt 'P m -3 m'
_space_group_IT_number 221
_space_group_name_Hall '-P 4 2 3'
loop_
_atom_site_label
_atom_site_type_symbol
_atom_site_fract_x
_atom_site_fract_y
_atom_site_fract_z
Mg1 Mg 0.000 0.000 0.000
Pd1 Pd 0.500 0.500 0.500
```

Values from the calculation:
Calculated total energy ... -14.28 eV per atom
ΔH_f (0 K) ... -0.71 eV per atom


Entry 4:
Computed, not measured: a relaxed structure of PrMgPd at the r2SCAN level of DFT.

Cell and atoms, written as CIF:
```
data_PrMgPd
_cell_length_a 7.6871
_cell_length_b 7.6871
_cell_length_c 4.1060
_cell_angle_alpha 90.00
_cell_angle_beta 90.00
_cell_angle_gamma 120.00
_space_group_name_H-M_alt 'P -6 2 m'
_space_group_IT_number 189
_space_group_name_Hall 'P -6 -2'
loop_
_atom_site_label
_atom_site_type_symbol
_atom_site_fract_x
_atom_site_fract_y
_atom_site_fract_z
Pr1 Pr 0.0000 0.5842 0.0000
Mg1 Mg 0.0000 0.2358 0.5000
Pd1 Pd 0.0000 0.0000 0.0000
Pd2 Pd 0.3333 0.6667 0.5000
```

Values from the calculation:
Calculated total energy ... -19.48 eV per atom
ΔH_f (0 K) ... -0.64 eV per atom


Entry 5:
Computed, not measured: a relaxed structure of Pr2MgPd2 at the r2SCAN level of DFT.

Cell and atoms, written as CIF:
```
data_Pr2MgPd2
_cell_length_a 7.761
_cell_length_b 7.761
_cell_length_c 4.043
_cell_angle_alpha 90.00
_cell_angle_beta 90.00
_cell_angle_gamma 90.00
_space_group_name_H-M_alt 'P 4/m b m'
_space_group_IT_number 127
_space_group_name_Hall '-P 4 2ab'
loop_
_atom_site_label
_atom_site_type_symbol
_atom_site_fract_x
_atom_site_fract_y
_atom_site_fract_z
Pr1 Pr 0.172 0.328 0.000
Mg1 Mg 0.000 0.000 0.500
Pd1 Pd 0.129 0.629 0.500
```

Values from the calculation:
Calculated total energy ... -22.48 eV per atom
ΔH_f (0 K) ... -0.70 eV per atom


Entry 6:
Computed, not measured: a relaxed structure of Mg2PdPt at the r2SCAN level of DFT.

Cell and atoms, written as CIF:
```
data_Mg2PdPt
_cell_length_a 6.285
_cell_length_b 6.285
_cell_length_c 6.285
_cell_angle_alpha 90.00
_cell_angle_beta 90.00
_cell_angle_gamma 90.00
_space_group_name_H-M_alt 'F m -3 m'
_space_group_IT_number 225
_space_group_name_Hall '-F 4 2 3'
loop_
_atom_site_label
_atom_site_type_symbol
_atom_site_fract_x
_atom_site_fract_y
_atom_site_fract_z
Mg1 Mg 0.250 0.250 0.250
Pd1 Pd 0.000 0.000 0.000
Pt1 Pt 0.000 0.000 0.500
```

Values from the calculation:
Calculated total energy ... -21.52 eV per atom
ΔH_f (0 K) ... -0.82 eV per atom


Entry 7:
Computed, not measured: a relaxed structure of MgSbPd at the r2SCAN level of DFT.

Cell and atoms, written as CIF:
```
data_MgSbPd
_cell_length_a 6.294
_cell_length_b 6.294
_cell_length_c 6.294
_cell_angle_alpha 90.00
_cell_angle_beta 90.00
_cell_angle_gamma 90.00
_space_group_name_H-M_alt 'F -4 3 m'
_space_group_IT_number 216
_space_group_name_Hall 'F -4 2 3'
loop_
_atom_site_label
_atom_site_type_symbol
_atom_site_fract_x
_atom_site_fract_y
_atom_site_fract_z
Mg1 Mg 0.000 0.000 0.000
Sb1 Sb 0.000 0.000 0.500
Pd1 Pd 0.250 0.250 0.750
```

Values from the calculation:
Calculated total energy ... -18.28 eV per atom
ΔH_f (0 K) ... -0.67 eV per atom


Entry 8:
Computed, not measured: a relaxed structure of Tb2MgPd2 at the r2SCAN level of DFT.

Cell and atoms, written as CIF:
```
data_Tb2MgPd2
_cell_length_a 7.706
_cell_length_b 7.706
_cell_length_c 3.751
_cell_angle_alpha 90.00
_cell_angle_beta 90.00
_cell_angle_gamma 90.00
_space_group_name_H-M_alt 'P 4/m b m'
_space_group_IT_number 127
_space_group_name_Hall '-P 4 2ab'
loop_
_atom_site_label
_atom_site_type_symbol
_atom_site_fract_x
_atom_site_fract_y
_atom_site_fract_z
Tb1 Tb 0.168 0.332 0.000
Mg1 Mg 0.000 0.000 0.500
Pd1 Pd 0.132 0.632 0.500
```

Values from the calculation:
Calculated total energy ... -23.30 eV per atom
ΔH_f (0 K) ... -0.79 eV per atom


Entry 9:
Computed, not measured: a relaxed structure of TmMgPd at the r2SCAN level of DFT.

Cell and atoms, written as CIF:
```
data_TmMgPd
_cell_length_a 7.2945
_cell_length_b 7.2945
_cell_length_c 4.0684
_cell_angle_alpha 90.00
_cell_angle_beta 90.00
_cell_angle_gamma 120.00
_space_group_name_H-M_alt 'P -6 2 m'
_space_group_IT_number 189
_space_group_name_Hall 'P -6 -2'
loop_
_atom_site_label
_atom_site_type_symbol
_atom_site_fract_x
_atom_site_fract_y
_atom_site_fract_z
Tm1 Tm 0.0000 0.5889 0.0000
Mg1 Mg 0.0000 0.2455 0.5000
Pd1 Pd 0.0000 0.0000 0.0000
Pd2 Pd 0.3333 0.6667 0.5000
```

Values from the calculation:
Calculated total energy ... -21.45 eV per atom
ΔH_f (0 K) ... -0.70 eV per atom


Entry 10:
Computed, not measured: a relaxed structure of TmMgPd2 at the r2SCAN level of DFT.

Cell and atoms, written as CIF:
```
data_TmMgPd2
_cell_length_a 6.637
_cell_length_b 6.637
_cell_length_c 6.637
_cell_angle_alpha 90.00
_cell_angle_beta 90.00
_cell_angle_gamma 90.00
_space_group_name_H-M_alt 'F m -3 m'
_space_group_IT_number 225
_space_group_name_Hall '-F 4 2 3'
loop_
_atom_site_label
_atom_site_type_symbol
_atom_site_fract_x
_atom_site_fract_y
_atom_site_fract_z
Tm1 Tm 0.000 0.000 0.000
Mg1 Mg 0.000 0.000 0.500
Pd1 Pd 0.250 0.250 0.250
```

Values from the calculation:
Calculated total energy ... -22.15 eV per atom
ΔH_f (0 K) ... -0.85 eV per atom


Entry 11:
Computed, not measured: a relaxed structure of YMgPd at the r2SCAN level of DFT.

Cell and atoms, written as CIF:
```
data_YMgPd
_cell_length_a 7.4120
_cell_length_b 7.4120
_cell_length_c 4.0933
_cell_angle_alpha 90.00
_cell_angle_beta 90.00
_cell_angle_gamma 120.00
_space_group_name_H-M_alt 'P -6 2 m'
_space_group_IT_number 189
_space_group_name_Hall 'P -6 -2'
loop_
_atom_site_label
_atom_site_type_symbol
_atom_site_fract_x
_atom_site_fract_y
_atom_site_fract_z
Y1 Y 0.0000 0.5882 0.0000
Mg1 Mg 0.0000 0.2429 0.5000
Pd1 Pd 0.0000 0.0000 0.0000
Pd2 Pd 0.3333 0.6667 0.5000
```

Values from the calculation:
Calculated total energy ... -16.50 eV per atom
ΔH_f (0 K) ... -0.69 eV per atom


Entry 12:
Computed, not measured: a relaxed structure of Y4MgPd at the r2SCAN level of DFT.

Cell and atoms, written as CIF:
```
data_Y4MgPd
_cell_length_a 13.885
_cell_length_b 13.885
_cell_length_c 13.885
_cell_angle_alpha 90.00
_cell_angle_beta 90.00
_cell_angle_gamma 90.00
_space_group_name_H-M_alt 'F -4 3 m'
_space_group_IT_number 216
_space_group_name_Hall 'F -4 2 3'
loop_
_atom_site_label
_atom_site_type_symbol
_atom_site_fract_x
_atom_site_fract_y
_atom_site_fract_z
Y1 Y 0.000 0.000 0.184
Y2 Y 0.061 0.250 0.250
Y3 Y 0.100 0.100 0.600
Mg1 Mg 0.171 0.171 0.829
Pd1 Pd 0.107 0.107 0.393
```

Values from the calculation:
Calculated total energy ... -18.43 eV per atom
ΔH_f (0 K) ... -0.37 eV per atom